1.
A plane-wave DFT calculation with r2SCAN was carried out for crystalline SrTbEuVO6 at its relaxed geometry.

```
data_SrTbEuVO6
_cell_length_a 5.754
_cell_length_b 5.754
_cell_length_c 5.754
_cell_angle_alpha 60.00
_cell_angle_beta 60.00
_cell_angle_gamma 60.00
_symmetry_space_group_name_H-M 'P 1'
_symmetry_Int_Tables_number 1
_symmetry_space_group_name_Hall 'P 1'
loop_
_atom_site_label
_atom_site_type_symbol
_atom_site_fract_x
_atom_site_fract_y
_atom_site_fract_z
_atom_site_occupancy
Sr1 Sr 0.250 0.250 0.250 1
Tb1 Tb 0.000 0.000 0.000 1
Eu1 Eu 0.750 0.750 0.750 1
V1 V 0.500 0.500 0.500 1
O1 O 0.731 0.269 0.269 1
O2 O 0.269 0.731 0.731 1
O3 O 0.731 0.269 0.731 1
O4 O 0.269 0.731 0.269 1
O5 O 0.731 0.731 0.269 1
O6 O 0.269 0.269 0.731 1
```

- calculated formation energy (eV per atom) = -3.1530
- theoretical density (g cm⁻³) = 6.72
- DFT total energy (eV per atom) = -16.6348
- total magnetic moment (Bohr magnetons per cell) = 7.00



2.
A plane-wave DFT calculation with r2SCAN was carried out for crystalline Ba2ErCl7 at its relaxed geometry.

```
data_Ba2ErCl7
_cell_length_a 15.586
_cell_length_b 6.844
_cell_length_c 10.566
_cell_angle_alpha 89.43
_cell_angle_beta 90.00
_cell_angle_gamma 90.00
_symmetry_space_group_name_H-M 'P 1'
_symmetry_Int_Tables_number 1
_symmetry_space_group_name_Hall 'P 1'
loop_
_atom_site_label
_atom_site_type_symbol
_atom_site_fract_x
_atom_site_fract_y
_atom_site_fract_z
_atom_site_occupancy
Ba1 Ba 0.439 0.265 0.824 1
Ba2 Ba 0.280 0.735 0.549 1
Ba3 Ba 0.561 0.735 0.176 1
Ba4 Ba 0.720 0.265 0.451 1
Ba5 Ba 0.939 0.735 0.676 1
Ba6 Ba 0.780 0.265 0.951 1
Ba7 Ba 0.220 0.735 0.049 1
Ba8 Ba 0.061 0.265 0.324 1
Er1 Er 0.373 0.217 0.282 1
Er2 Er 0.127 0.217 0.782 1
Er3 Er 0.873 0.783 0.218 1
Er4 Er 0.627 0.783 0.718 1
Cl1 Cl 0.271 0.002 0.795 1
Cl2 Cl 0.605 0.000 0.928 1
Cl3 Cl 0.071 0.874 0.877 1
Cl4 Cl 0.861 0.709 0.973 1
Cl5 Cl 0.743 0.513 0.199 1
Cl6 Cl 0.243 0.487 0.301 1
Cl7 Cl 0.539 0.294 0.288 1
Cl8 Cl 0.105 0.486 0.587 1
Cl9 Cl 0.039 0.706 0.212 1
Cl10 Cl 0.729 0.998 0.205 1
Cl11 Cl 0.639 0.709 0.473 1
Cl12 Cl 0.361 0.291 0.527 1
Cl13 Cl 0.895 0.514 0.413 1
Cl14 Cl 0.229 0.002 0.295 1
Cl15 Cl 0.429 0.874 0.377 1
Cl16 Cl 0.105 0.000 0.572 1
Cl17 Cl 0.961 0.294 0.788 1
Cl18 Cl 0.571 0.126 0.623 1
Cl19 Cl 0.395 0.000 0.072 1
Cl20 Cl 0.139 0.291 0.027 1
Cl21 Cl 0.395 0.486 0.087 1
Cl22 Cl 0.257 0.487 0.801 1
Cl23 Cl 0.461 0.706 0.712 1
Cl24 Cl 0.895 0.000 0.428 1
Cl25 Cl 0.605 0.514 0.913 1
Cl26 Cl 0.929 0.126 0.123 1
Cl27 Cl 0.771 0.998 0.705 1
Cl28 Cl 0.757 0.513 0.699 1
```

- calculated formation energy (eV per atom) = -2.7112
- theoretical density (g cm⁻³) = 4.07
- DFT total energy (eV per atom) = -15.7103
- total magnetic moment (Bohr magnetons per cell) = 0.00



3.
A plane-wave DFT calculation with r2SCAN was carried out for crystalline PbF3 at its relaxed geometry.

```
data_PbF3
_cell_length_a 5.342
_cell_length_b 5.342
_cell_length_c 8.878
_cell_angle_alpha 90.00
_cell_angle_beta 90.00
_cell_angle_gamma 90.00
_symmetry_space_group_name_H-M 'P 1'
_symmetry_Int_Tables_number 1
_symmetry_space_group_name_Hall 'P 1'
loop_
_atom_site_label
_atom_site_type_symbol
_atom_site_fract_x
_atom_site_fract_y
_atom_site_fract_z
_atom_site_occupancy
Pb1 Pb 0.500 0.500 0.500 1
Pb2 Pb 0.500 0.500 0.000 1
Pb3 Pb 0.000 0.000 0.750 1
Pb4 Pb 0.000 0.000 0.250 1
F1 F 0.203 0.797 0.592 1
F2 F 0.797 0.203 0.592 1
F3 F 0.797 0.797 0.408 1
F4 F 0.203 0.203 0.408 1
F5 F 0.281 0.719 0.250 1
F6 F 0.719 0.719 0.750 1
F7 F 0.281 0.281 0.750 1
F8 F 0.719 0.281 0.250 1
F9 F 0.203 0.203 0.092 1
F10 F 0.203 0.797 0.908 1
F11 F 0.797 0.203 0.908 1
F12 F 0.797 0.797 0.092 1
```

- calculated formation energy (eV per atom) = -2.2644
- theoretical density (g cm⁻³) = 6.93
- DFT total energy (eV per atom) = -18.6802
- total magnetic moment (Bohr magnetons per cell) = 0.00